1.
A relaxed Li9Co7O16 crystal. Source: the Materials Project, functional r2SCAN.

Cell and atoms, written as POSCAR:
```
Li9Co7O16
1.0
11.2093 0.0000 0.0000
0.0000 4.8549 -0.0270
0.0000 1.6408 4.6321
Li O Co
9 16 7
direct
0.8730 0.5000 0.5000
0.1270 0.5000 0.5000
0.5000 0.0000 0.5000
0.0000 0.0000 0.5000
0.5000 0.5000 0.0000
0.3818 0.5000 0.5000
0.2516 0.0000 0.5000
0.7484 0.0000 0.5000
0.6182 0.5000 0.5000
0.1251 0.2611 0.2180
0.5000 0.7797 0.2286
0.1251 0.7389 0.7820
0.2506 0.2414 0.7801
0.5000 0.2203 0.7714
0.7494 0.2414 0.7801
0.6342 0.7523 0.7767
0.6342 0.2477 0.2233
0.8749 0.7389 0.7820
0.3658 0.2477 0.2233
0.2506 0.7586 0.2199
0.0000 0.7606 0.2200
0.7494 0.7586 0.2199
0.8749 0.2611 0.2180
0.0000 0.2394 0.7800
0.3658 0.7523 0.7767
0.3774 0.0000 0.0000
0.0000 0.5000 0.0000
0.2536 0.5000 0.0000
0.6226 0.0000 0.0000
0.8742 0.0000 0.0000
0.7464 0.5000 0.0000
0.1258 0.0000 0.0000
```

Computed properties:
Polymorph energy (0 for the lowest one)   4 meV per atom
Calculated formation energy   -56.68 eV/f.u.
Symmetry   No. 10

=====

2.
A relaxed Ta2Tl4S11 crystal. Source: the Materials Project, functional r2SCAN.

Cell and atoms, written as POSCAR:
```
Ta2Tl4S11
1.0
6.9829 -2.4164 3.0709
-3.4244 -8.3116 -0.6987
6.2186 2.8316 -11.4330
S Tl Ta
22 8 4
direct
0.9546 0.6442 0.7544
0.0454 0.3558 0.2456
0.7275 0.3980 0.8881
0.4126 0.9284 0.7471
0.9951 0.7073 0.4661
0.6334 0.8610 0.6682
0.6049 0.4284 0.6484
0.0049 0.2927 0.5339
0.8954 0.4890 0.1866
0.3951 0.5716 0.3516
0.3666 0.1390 0.3318
0.7279 0.0428 0.9560
0.5874 0.0716 0.2529
0.5223 0.6843 0.1187
0.9556 0.1328 0.7455
0.6107 0.1918 0.6284
0.3893 0.8082 0.3716
0.2725 0.6020 0.1119
0.4777 0.3157 0.8813
0.2721 0.9572 0.0440
0.1046 0.5110 0.8134
0.0444 0.8672 0.2545
0.0583 0.2384 0.9762
0.7579 0.4203 0.4149
0.5013 0.7264 0.8857
0.7840 0.9643 0.4271
0.2160 0.0357 0.5729
0.2421 0.5797 0.5851
0.4987 0.2736 0.1143
0.9417 0.7616 0.0238
0.3356 0.8906 0.1907
0.6644 0.1094 0.8093
0.8754 0.3629 0.6950
0.1246 0.6371 0.3050
```

Computed properties:
Calculated formation energy   -11.32 eV/f.u.
Symmetry   No. 2

=====

3.
A relaxed LaS2 crystal. Source: the Materials Project, functional r2SCAN.

Cell and atoms, written as POSCAR:
```
LaS2
1.0
-0.3845 2.6703 -3.1657
-3.1899 -5.9418 -4.6246
-15.0292 4.0132 5.2105
S La
16 8
direct
0.7615 0.8746 0.4328
0.3592 0.8937 0.2500
0.7385 0.3746 0.4328
0.3391 0.9014 0.7500
0.8391 0.5986 0.2500
0.2615 0.6254 0.5672
0.7615 0.8746 0.0672
0.6408 0.1063 0.7500
0.2385 0.1254 0.5672
0.8592 0.6063 0.7500
0.1408 0.3937 0.2500
0.2615 0.6254 0.9328
0.7385 0.3746 0.0672
0.6609 0.0986 0.2500
0.2385 0.1254 0.9328
0.1609 0.4014 0.7500
0.7822 0.8702 0.8883
0.2178 0.1298 0.1117
0.7822 0.8702 0.6117
0.7178 0.3702 0.8883
0.2178 0.1298 0.3883
0.2822 0.6298 0.3883
0.7178 0.3702 0.6117
0.2822 0.6298 0.1117
```

Computed properties:
Calculated formation energy   -6.43 eV/f.u.
Symmetry   No. 62

=====

4.
A relaxed Tl4GeS4 crystal. Source: the Materials Project, functional r2SCAN.

Cell and atoms, written as POSCAR:
```
Tl4GeS4
1.0
0.4177 -5.2004 6.8220
4.8783 -6.0426 -3.6671
7.0623 0.7351 2.9442
Ge Tl S
2 8 8
direct
0.7980 0.3774 0.4619
0.3774 0.7980 0.9619
0.0075 0.7417 0.4127
0.2069 0.2091 0.9150
0.2091 0.2069 0.4150
0.4098 0.6338 0.4952
0.7417 0.0075 0.9127
0.6338 0.4098 0.9952
0.0270 0.5909 0.9401
0.5909 0.0270 0.4401
0.9524 0.3935 0.6418
0.2792 0.5610 0.1516
0.5610 0.2792 0.6516
0.7557 0.6236 0.2784
0.2066 0.9144 0.7900
0.3935 0.9524 0.1418
0.6236 0.7557 0.7784
0.9144 0.2066 0.2900
```

Computed properties:
Calculated formation energy   -4.49 eV/f.u.
Symmetry   No. 9

=====

| no. | total energy (eV per atom) |
| --- | --- |
| 1 | -8.32 |
| 2 | -24.09 |
| 3 | -17.41 |
| 4 | -29.25 |